(1)
# Fe2H6S3O15 PBE with a Hubbard U optimized geometry
# Density (g/cm3): 2.556
# Energy of formation (eV per atom): -1.641
# Energy with MP2020 corrections (eV per atom): -6.408
# M_tot (μB per formula unit): 10.000
data_Fe2H6S3O15
_cell_length_a 11.361
_cell_length_b 6.417
_cell_length_c 16.542
_cell_angle_alpha 90.00
_cell_angle_beta 101.95
_cell_angle_gamma 90.00
_space_group_name_H-M_alt 'P 1 21/c 1'
_space_group_IT_number 14
loop_
_space_group_symop_operation_xyz
'x,y,z'
'-x,-y,-z'
'-x,y+1/2,-z+1/2'
'x,-y+1/2,z+1/2'
loop_
_atom_site_label
_atom_site_type_symbol
_atom_site_fract_x
_atom_site_fract_y
_atom_site_fract_z
_atom_site_occupancy
Fe1 Fe 0.018 0.242 0.117 1
Fe2 Fe 0.362 0.729 0.093 1
H1 H 0.067 0.171 0.783 1
H2 H 0.191 0.226 0.753 1
H3 H 0.385 0.715 0.759 1
H4 H 0.410 0.163 0.910 1
H5 H 0.420 0.088 0.401 1
H6 H 0.484 0.235 0.260 1
S1 S 0.070 0.748 0.090 1
S2 S 0.269 0.722 0.386 1
S3 S 0.312 0.228 0.121 1
O1 O 0.003 0.557 0.100 1
O2 O 0.019 0.582 0.634 1
O3 O 0.058 0.696 0.502 1
O4 O 0.102 0.228 0.738 1
O5 O 0.136 0.748 0.348 1
O6 O 0.179 0.234 0.086 1
O7 O 0.200 0.723 0.129 1
O8 O 0.288 0.711 0.974 1
O9 O 0.300 0.504 0.377 1
O10 O 0.335 0.222 0.212 1
O11 O 0.336 0.632 0.843 1
O12 O 0.364 0.044 0.086 1
O13 O 0.369 0.087 0.591 1
O14 O 0.428 0.734 0.216 1
O15 O 0.466 0.215 0.422 1

---

(2)
# Fe2H10S2O11 PBE with a Hubbard U optimized geometry
# Density (g/cm3): 2.461
# Energy of formation (eV per atom): -1.427
# Energy with MP2020 corrections (eV per atom): -5.970
# M_tot (μB per formula unit): 8.000
data_Fe2H10S2O11
_cell_length_a 9.629
_cell_length_b 9.629
_cell_length_c 10.534
_cell_angle_alpha 90.00
_cell_angle_beta 90.00
_cell_angle_gamma 90.00
_space_group_name_H-M_alt 'P 41 21 2'
_space_group_IT_number 92
loop_
_space_group_symop_operation_xyz
'x,y,z'
'-y+1/2,x+1/2,z+1/4'
'-x,-y,z+1/2'
'y+1/2,-x+1/2,z+3/4'
'x+1/2,-y+1/2,-z+3/4'
'-y,-x,-z+1/2'
'-x+1/2,y+1/2,-z+1/4'
'y,x,-z'
loop_
_atom_site_label
_atom_site_type_symbol
_atom_site_fract_x
_atom_site_fract_y
_atom_site_fract_z
_atom_site_occupancy
Fe1 Fe 0.134 0.167 0.274 1
H1 H 0.019 0.636 0.645 1
H2 H 0.046 0.878 0.393 1
H3 H 0.055 0.229 0.965 1
H4 H 0.103 0.642 0.371 1
H5 H 0.131 0.857 0.826 1
S1 S 0.038 0.704 0.024 1
O1 O 0.003 0.164 0.602 1
O2 O 0.024 0.198 0.880 1
O3 O 0.073 0.313 0.420 1
O4 O 0.074 0.321 0.126 1
O5 O 0.092 0.908 0.750 1
O6 O 0.169 0.759 0.954 1

---

Q: What is the formula in the first record?
A: Fe2H6S3O15

---

What did the second record say?
# Fe2H10S2O11 PBE with a Hubbard U optimized geometry
# Density (g/cm3): 2.461
# Energy of formation (eV per atom): -1.427
# Energy with MP2020 corrections (eV per atom): -5.970
# M_tot (μB per formula unit): 8.000
data_Fe2H10S2O11
_cell_length_a 9.629
_cell_length_b 9.629
_cell_length_c 10.534
_cell_angle_alpha 90.00
_cell_angle_beta 90.00
_cell_angle_gamma 90.00
_space_group_name_H-M_alt 'P 41 21 2'
_space_group_IT_number 92
loop_
_space_group_symop_operation_xyz
'x,y,z'
'-y+1/2,x+1/2,z+1/4'
'-x,-y,z+1/2'
'y+1/2,-x+1/2,z+3/4'
'x+1/2,-y+1/2,-z+3/4'
'-y,-x,-z+1/2'
'-x+1/2,y+1/2,-z+1/4'
'y,x,-z'
loop_
_atom_site_label
_atom_site_type_symbol
_atom_site_fract_x
_atom_site_fract_y
_atom_site_fract_z
_atom_site_occupancy
Fe1 Fe 0.134 0.167 0.274 1
H1 H 0.019 0.636 0.645 1
H2 H 0.046 0.878 0.393 1
H3 H 0.055 0.229 0.965 1
H4 H 0.103 0.642 0.371 1
H5 H 0.131 0.857 0.826 1
S1 S 0.038 0.704 0.024 1
O1 O 0.003 0.164 0.602 1
O2 O 0.024 0.198 0.880 1
O3 O 0.073 0.313 0.420 1
O4 O 0.074 0.321 0.126 1
O5 O 0.092 0.908 0.750 1
O6 O 0.169 0.759 0.954 1

---

Q: The highest M_tot belongs to which entry?
A: Fe2H6S3O15